(1)
RbB6H8O8: relaxed, GGA-PBE.

## Properties
Symmetry   Cmce
Magnetization   0.0 μB per formula unit
E (MP2020)   -137.45 eV/f.u.
ΔE_f   -1.29 eV/atom

abc: 8.6156 9.1339 13.1625
angles: 90.00 90.00 118.14
Closest atoms and distances in Å follow each position.
Sites, in units of the cell vectors:
Rb: 0.8210 0.6421 0.5000  10 O 3.00-3.31, 2 H 3.32
Rb: 0.1790 0.3579 0.5000  10 O 3.00-3.31, 2 H 3.32
Rb: 0.6790 0.3579 0.0000  10 O 3.00-3.31, 2 H 3.32
Rb: 0.3210 0.6421 0.0000  10 O 3.00-3.31, 2 H 3.32
B: 0.4348 0.1128 0.5759  1 O 1.46
B: 0.9565 0.0000 0.1232  1 O 1.47
B: 0.5176 0.1828 0.4514  1 O 1.43
B: 0.0176 0.1828 0.0486  1 O 1.43
B: 0.3082 0.0000 0.4679  1 O 1.45
B: 0.8220 0.8872 0.9241  1 O 1.46
B: 0.0435 0.0000 0.8768  1 O 1.47
B: 0.6780 0.1128 0.4241  1 O 1.46
B: 0.5435 0.0000 0.6232  1 O 1.47
B: 0.1780 0.1128 0.0759  1 O 1.46
B: 0.3347 0.8172 0.4514  1 O 1.43
B: 0.3220 0.8872 0.5759  1 O 1.46
B: 0.4565 0.0000 0.3768  1 O 1.47
B: 0.5652 0.8872 0.4241  1 O 1.46
B: 0.4824 0.8172 0.5486  1 O 1.43
B: 0.9348 0.1128 0.9241  1 O 1.46
B: 0.6653 0.1828 0.5486  1 O 1.43
B: 0.0652 0.8872 0.0759  1 O 1.46
B: 0.6918 0.0000 0.5321  1 O 1.45
B: 0.8082 0.0000 0.0321  1 O 1.45
B: 0.1653 0.1828 0.9514  1 O 1.43
B: 0.1918 0.0000 0.9679  1 O 1.45
B: 0.9824 0.8172 0.9514  1 O 1.43
B: 0.8347 0.8172 0.0486  1 O 1.43
H: 0.1375 0.8587 0.6852  1 O 0.98
H: 0.3625 0.1413 0.1852  1 O 0.98
H: 0.5110 0.0000 0.2292  1 O 0.97
H: 0.1510 0.0000 0.3628  1 O 0.97
H: 0.8625 0.1413 0.3148  1 O 0.98
H: 0.4596 0.6447 0.2835  1 O 1.01
H: 0.2788 0.1413 0.6852  1 O 0.98
H: 0.5404 0.3553 0.7165  1 O 1.01
H: 0.1851 0.6447 0.7165  1 O 1.01
H: 0.0564 0.3491 0.1594  1 O 0.98
H: 0.6510 0.0000 0.1372  1 O 0.97
H: 0.2073 0.6509 0.3406  1 O 0.98
H: 0.3490 0.0000 0.8628  1 O 0.97
H: 0.2927 0.3491 0.8406  1 O 0.98
H: 0.9890 0.0000 0.7292  1 O 0.97
H: 0.0404 0.3553 0.7835  1 O 1.01
H: 0.5564 0.3491 0.3406  1 O 0.98
H: 0.8149 0.3553 0.2835  1 O 1.01
H: 0.7927 0.3491 0.6594  1 O 0.98
H: 0.7212 0.8587 0.3148  1 O 0.98
H: 0.9596 0.6447 0.2165  1 O 1.01
H: 0.9436 0.6509 0.8406  1 O 0.98
H: 0.6851 0.6447 0.7835  1 O 1.01
H: 0.8490 0.0000 0.6372  1 O 0.97
H: 0.4436 0.6509 0.6594  1 O 0.98
H: 0.2212 0.8587 0.1852  1 O 0.98
H: 0.6375 0.8587 0.8148  1 O 0.98
H: 0.7073 0.6509 0.1594  1 O 0.98
H: 0.4890 0.0000 0.7708  1 O 0.97
H: 0.3149 0.3553 0.2165  1 O 1.01
H: 0.7788 0.1413 0.8148  1 O 0.98
H: 0.0110 0.0000 0.2708  1 O 0.97
O: 0.6742 0.7914 0.8566  1 H 0.98
O: 0.8619 0.5867 0.2675  1 H 1.01
O: 0.5849 0.0000 0.7317  1 H 0.97
O: 0.9151 0.0000 0.2317  1 H 0.97
O: 0.8072 0.3332 0.5874  1 H 0.98
O: 0.1928 0.6668 0.4126  1 H 0.98
O: 0.7247 0.5867 0.7325  1 H 1.01
O: 0.3529 0.0000 0.9365  1 H 0.97
O: 0.8258 0.2086 0.3566  1 H 0.98
O: 0.8828 0.2086 0.8566  1 H 0.98
O: 0.1742 0.7914 0.6434  1 H 0.98
O: 0.6928 0.6668 0.0874  1 H 0.98
O: 0.2753 0.4133 0.2675  1 H 1.01
O: 0.1471 0.0000 0.4365  1 H 0.97
O: 0.4740 0.6668 0.5874  1 H 0.98
O: 0.8529 0.0000 0.5635  1 H 0.97
O: 0.9740 0.6668 0.9126  1 H 0.98
O: 0.4151 0.0000 0.2683  1 H 0.97
O: 0.3072 0.3332 0.9126  1 H 0.98
O: 0.3619 0.5867 0.2325  1 H 1.01
O: 0.3828 0.2086 0.6434  1 H 0.98
O: 0.7753 0.4133 0.2325  1 H 1.01
O: 0.0260 0.3332 0.0874  1 H 0.98
O: 0.1381 0.4133 0.7325  1 H 1.01
O: 0.6172 0.7914 0.3566  1 H 0.98
O: 0.3258 0.2086 0.1434  1 H 0.98
O: 0.1172 0.7914 0.1434  1 H 0.98
O: 0.5260 0.3332 0.4126  1 H 0.98
O: 0.6381 0.4133 0.7675  1 H 1.01
O: 0.0849 0.0000 0.7683  1 H 0.97
O: 0.6471 0.0000 0.0635  1 H 0.97
O: 0.2247 0.5867 0.7675  1 H 1.01

=====

(2)
Rb2LiVCl6: relaxed, GGA-PBE.

## Properties
Symmetry   Fm-3m
Magnetization   2.0 μB per formula unit
E (MP2020)   -44.26 eV/f.u.
ΔE_f   -2.02 eV/atom
Energy above the most stable polymorph in this dataset   21 meV/atom

abc: 7.0922 7.0922 7.0922
angles: 60.00 60.00 60.00
Closest atoms and distances in Å follow each position.
Sites, in units of the cell vectors:
V: 0.0000 0.0000 0.0000  6 Cl 2.41
Rb: 0.7500 0.7500 0.7500  12 Cl 3.55
Rb: 0.2500 0.2500 0.2500  12 Cl 3.55
Cl: 0.2398 0.7602 0.2398  1 V 2.41, 1 Li 2.61
Cl: 0.7602 0.2398 0.2398  1 V 2.41, 1 Li 2.61
Cl: 0.7602 0.2398 0.7602  1 V 2.41, 1 Li 2.61
Cl: 0.2398 0.2398 0.7602  1 V 2.41, 1 Li 2.61
Cl: 0.7602 0.7602 0.2398  1 V 2.41, 1 Li 2.61
Cl: 0.2398 0.7602 0.7602  1 V 2.41, 1 Li 2.61
Li: 0.5000 0.5000 0.5000  6 Cl 2.61

=====

(3)
Li3Y2B3O9: relaxed, GGA-PBE.

## Properties
Symmetry   P2_1/c
Magnetization   0.0 μB per formula unit
E (MP2020)   -135.80 eV/f.u.
ΔE_f   -3.09 eV/atom

abc: 14.0175 5.6726 9.2178
angles: 67.28 90.00 90.00
Closest atoms and distances in Å follow each position.
Sites, in units of the cell vectors:
B: 0.8248 0.3915 0.0211  3 O 1.37-1.39
B: 0.5164 0.7639 0.9852  3 O 1.36-1.39
B: 0.6752 0.3915 0.5211  3 O 1.37-1.39
B: 0.8370 0.8894 0.0269  3 O 1.38-1.39
B: 0.3370 0.1106 0.4731  3 O 1.38-1.39
B: 0.4836 0.2361 0.0148  3 O 1.36-1.39
B: 0.1630 0.1106 0.9731  3 O 1.38-1.39
B: 0.9836 0.7639 0.4852  3 O 1.36-1.39
B: 0.3248 0.6085 0.4789  3 O 1.37-1.39
B: 0.0164 0.2361 0.5148  3 O 1.36-1.39
B: 0.1752 0.6085 0.9789  3 O 1.37-1.39
B: 0.6630 0.8894 0.5269  3 O 1.38-1.39
O: 0.7557 0.8132 0.1170  1 B 1.38
O: 0.0656 0.8140 0.3936  1 B 1.39
O: 0.0921 0.5404 0.0688  1 B 1.39
O: 0.6673 0.2884 0.6837  1 B 1.39
O: 0.3327 0.7116 0.3163  1 B 1.39
O: 0.2379 0.5813 0.5527  1 B 1.37
O: 0.7621 0.4187 0.4473  1 B 1.37
O: 0.5921 0.4596 0.4312  1 B 1.39
O: 0.0119 0.3367 0.3513  1 B 1.39
O: 0.9344 0.1860 0.6064  1 B 1.39
O: 0.7443 0.8132 0.6170  1 B 1.38
O: 0.6656 0.0062 0.3639  1 B 1.39
O: 0.4881 0.3367 0.8513  1 B 1.39
O: 0.5656 0.1860 0.1064  1 B 1.39
O: 0.7379 0.4187 0.9473  1 B 1.37
O: 0.4079 0.5404 0.5688  1 B 1.39
O: 0.1673 0.7116 0.8163  1 B 1.39
O: 0.9079 0.4596 0.9312  1 B 1.39
O: 0.8966 0.8115 0.4135  1 B 1.36
O: 0.3966 0.1885 0.0865  1 B 1.36
O: 0.9273 0.8463 0.0932  1 B 1.39
O: 0.8327 0.2884 0.1837  1 B 1.39
O: 0.2621 0.5813 0.0527  1 B 1.37
O: 0.1656 0.9938 0.1361  1 B 1.39
O: 0.8344 0.0062 0.8639  1 B 1.39
O: 0.6034 0.8115 0.9135  1 B 1.36
O: 0.4344 0.8140 0.8936  1 B 1.39
O: 0.4273 0.1537 0.4068  1 B 1.39
O: 0.0727 0.1537 0.9068  1 B 1.39
O: 0.5119 0.6633 0.1487  1 B 1.39
O: 0.2443 0.1868 0.8830  1 B 1.38
O: 0.2557 0.1868 0.3830  1 B 1.38
O: 0.3344 0.9938 0.6361  1 B 1.39
O: 0.1034 0.1885 0.5865  1 B 1.36
O: 0.9881 0.6633 0.6487  1 B 1.39
O: 0.5727 0.8463 0.5932  1 B 1.39
Li: 0.7821 0.9057 0.2928  4 O 1.91-2.13
Li: 0.1054 0.4398 0.7083  3 O 1.97-2.13
Li: 0.7179 0.9057 0.7928  4 O 1.91-2.13
Li: 0.8946 0.5602 0.2917  3 O 1.97-2.13
Li: 0.6054 0.5602 0.7917  3 O 1.97-2.13
Li: 0.3352 0.9113 0.0174  4 O 2.01-2.10
Li: 0.1648 0.9113 0.5174  4 O 2.01-2.10
Li: 0.6648 0.0887 0.9826  4 O 2.01-2.10
Li: 0.3946 0.4398 0.2083  3 O 1.97-2.13
Li: 0.2179 0.0943 0.7072  4 O 1.91-2.13
Li: 0.8352 0.0887 0.4826  4 O 2.01-2.10
Li: 0.2821 0.0943 0.2072  4 O 1.91-2.13
Y: 0.1644 0.5583 0.3070  7 O 2.33-2.54
Y: 0.6644 0.4417 0.1930  7 O 2.33-2.54
Y: 0.4949 0.1518 0.6587  8 O 2.32-2.58
Y: 0.3356 0.5583 0.8070  7 O 2.33-2.54
Y: 0.5051 0.8482 0.3413  8 O 2.32-2.58
Y: 0.8356 0.4417 0.6930  7 O 2.33-2.54
Y: 0.9949 0.8482 0.8413  8 O 2.32-2.58
Y: 0.0051 0.1518 0.1587  8 O 2.32-2.58